{"formula": "Ca2Si3Ag", "functional": "PBE", "state": "relaxed", "spacegroup": "Fmmm (69)", "delta_e_f_ev_per_atom": -0.4580, "vol_a3_per_cell": 261, "crystal_system": "orthorhombic", "lattice": [[0.0000, 4.3382, 7.2175], [4.1725, 0.0000, 7.2175], [4.1725, 4.3382, 0.0000]], "species": ["Ca", "Ca", "Ca", "Ca", "Si", "Si", "Si", "Si", "Si", "Si", "Ag", "Ag"], "frac_coords": [[0.2471, 0.7529, 0.2471], [0.2500, 0.2500, 0.2500], [0.7500, 0.7500, 0.7500], [0.7529, 0.2471, 0.7529], [0.1616, 0.1616, 0.8384], [0.1628, 0.6755, 0.8372], [0.3245, 0.8372, 0.6755], [0.6755, 0.1628, 0.3245], [0.8372, 0.3245, 0.1628], [0.8384, 0.8384, 0.1616], [0.3334, 0.3334, 0.6666], [0.6666, 0.6666, 0.3334]]}